No. 1
Below is crystalline LaSi2Pt2 at its relaxed geometry, with properties calculated at the meta-GGA r2SCAN level.

Calculated values
E ... -31.2579 eV/atom
Crystal system ... tetragonal

a = 4.3059 Å, b = 4.3059 Å, c = 9.8688 Å
α = 90.00°, β = 90.00°, γ = 90.00°
Fractional positions:
La 0.2500 0.2500 0.2439
La 0.7500 0.7500 0.7561
Si 0.2500 0.2500 0.6282
Si 0.2500 0.7500 0.0000
Si 0.7500 0.2500 0.0000
Si 0.7500 0.7500 0.3718
Pt 0.2500 0.2500 0.8795
Pt 0.2500 0.7500 0.5000
Pt 0.7500 0.2500 0.5000
Pt 0.7500 0.7500 0.1205



No. 2
Below is crystalline RbLaS2 at its relaxed geometry, with properties calculated at the meta-GGA r2SCAN level.

Calculated values
E ... -17.1064 eV/atom
Crystal system ... trigonal

a = 4.3135 Å, b = 4.3135 Å, c = 22.9771 Å
α = 90.00°, β = 90.00°, γ = 120.00°
Fractional positions:
Rb 0.0000 0.0000 0.0000
Rb 0.3333 0.6667 0.6667
Rb 0.6667 0.3333 0.3333
La 0.0000 0.0000 0.5000
La 0.3333 0.6667 0.1667
La 0.6667 0.3333 0.8333
S 0.0000 0.0000 0.2330
S 0.0000 0.0000 0.7670
S 0.3333 0.6667 0.4336
S 0.3333 0.6667 0.8997
S 0.6667 0.3333 0.1003
S 0.6667 0.3333 0.5664



No. 3
Below is crystalline LaRe2Si2 at its relaxed geometry, with properties calculated at the meta-GGA r2SCAN level.

Calculated values
E ... -31.0151 eV/atom
Crystal system ... orthorhombic

a = 10.9114 Å, b = 10.9114 Å, c = 10.9114 Å
α = 158.05°, β = 157.50°, γ = 31.64°
Fractional positions:
La 0.4128 0.1628 0.2500
La 0.5872 0.8372 0.7500
Re 0.2146 0.9646 0.2500
Re 0.2882 0.5382 0.7500
Re 0.7118 0.4618 0.2500
Re 0.7854 0.0354 0.7500
Si 0.0287 0.2787 0.7500
Si 0.1471 0.3971 0.7500
Si 0.8529 0.6029 0.2500
Si 0.9713 0.7213 0.2500



No. 4
Below is crystalline La2Rh7 at its relaxed geometry, with properties calculated at the meta-GGA r2SCAN level.

Calculated values
E ... -25.8736 eV/atom
Crystal system ... hexagonal

a = 5.3049 Å, b = 5.3049 Å, c = 26.3715 Å
α = 90.00°, β = 90.00°, γ = 120.00°
Fractional positions:
La 0.3333 0.6667 0.0299
La 0.3333 0.6667 0.1743
La 0.3333 0.6667 0.3257
La 0.3333 0.6667 0.4701
La 0.6667 0.3333 0.5299
La 0.6667 0.3333 0.6743
La 0.6667 0.3333 0.8257
La 0.6667 0.3333 0.9701
Rh 0.0000 0.0000 0.0000
Rh 0.0000 0.0000 0.1676
Rh 0.0000 0.0000 0.3324
Rh 0.0000 0.0000 0.5000
Rh 0.0000 0.0000 0.6676
Rh 0.0000 0.0000 0.8324
Rh 0.1665 0.3329 0.5864
Rh 0.1665 0.3330 0.7500
Rh 0.1665 0.3329 0.9136
Rh 0.1665 0.8335 0.5864
Rh 0.1665 0.8335 0.7500
Rh 0.1665 0.8335 0.9136
Rh 0.3329 0.1665 0.0864
Rh 0.3330 0.1665 0.2500
Rh 0.3329 0.1665 0.4136
Rh 0.3333 0.6667 0.6670
Rh 0.3333 0.6667 0.8330
Rh 0.6667 0.3333 0.1670
Rh 0.6667 0.3333 0.3330
Rh 0.6671 0.8335 0.5864
Rh 0.6670 0.8335 0.7500
Rh 0.6671 0.8335 0.9136
Rh 0.8335 0.1665 0.0864
Rh 0.8335 0.1665 0.2500
Rh 0.8335 0.1665 0.4136
Rh 0.8335 0.6671 0.0864
Rh 0.8335 0.6670 0.2500
Rh 0.8335 0.6671 0.4136



No. 5
Below is crystalline LaSbRh at its relaxed geometry, with properties calculated at the meta-GGA r2SCAN level.

Calculated values
E ... -27.6358 eV/atom
Crystal system ... orthorhombic

a = 7.5962 Å, b = 4.6857 Å, c = 7.9176 Å
α = 90.00°, β = 90.00°, γ = 90.00°
Fractional positions:
La 0.0173 0.2500 0.1970
La 0.4827 0.7500 0.6970
La 0.5173 0.2500 0.3030
La 0.9827 0.7500 0.8030
Sb 0.1839 0.2500 0.5883
Sb 0.3161 0.7500 0.0883
Sb 0.6839 0.2500 0.9117
Sb 0.8161 0.7500 0.4117
Rh 0.1937 0.7500 0.4139
Rh 0.3063 0.2500 0.9139
Rh 0.6937 0.7500 0.0861
Rh 0.8063 0.2500 0.5861



No. 6
Below is crystalline La3Si2Rh3 at its relaxed geometry, with properties calculated at the meta-GGA r2SCAN level.

Calculated values
E ... -23.3995 eV/atom
Crystal system ... orthorhombic

a = 7.8456 Å, b = 14.9729 Å, c = 5.9212 Å
α = 90.00°, β = 90.00°, γ = 90.00°
Fractional positions:
La 0.0247 0.1076 0.1499
La 0.0247 0.3924 0.1499
La 0.1580 0.2500 0.6216
La 0.3420 0.7500 0.1216
La 0.4753 0.6076 0.6499
La 0.4753 0.8924 0.6499
La 0.5247 0.1076 0.3501
La 0.5247 0.3924 0.3501
La 0.6580 0.2500 0.8784
La 0.8420 0.7500 0.3784
La 0.9753 0.6076 0.8501
La 0.9753 0.8924 0.8501
Si 0.1333 0.5935 0.3604
Si 0.1333 0.9065 0.3604
Si 0.3667 0.0935 0.8604
Si 0.3667 0.4065 0.8604
Si 0.6333 0.5935 0.1396
Si 0.6333 0.9065 0.1396
Si 0.8667 0.0935 0.6396
Si 0.8667 0.4065 0.6396
Rh 0.1547 0.0379 0.6043
Rh 0.1547 0.4621 0.6043
Rh 0.1811 0.7500 0.5439
Rh 0.3189 0.2500 0.0439
Rh 0.3453 0.5379 0.1043
Rh 0.3453 0.9621 0.1043
Rh 0.6547 0.0379 0.8957
Rh 0.6547 0.4621 0.8957
Rh 0.6811 0.7500 0.9561
Rh 0.8189 0.2500 0.4561
Rh 0.8453 0.5379 0.3957
Rh 0.8453 0.9621 0.3957